(1)
KSbWO6 | GGA+U | optimized geometry

Values from the calculation:
Magnetic moment (μB per formula unit): 0.0
SG: Ima2 (46)

abc: 7.366 7.366 7.366
angles: 120.74 119.67 89.64
Element x y z (fractional)
K1 0.595 0.903 0.192
K2 0.289 0.097 0.692
Sb1 0.999 0.500 0.499
Sb2 0.999 0.000 0.999
W1 0.996 0.499 0.997
W2 0.498 0.501 0.497
O1 0.079 0.826 0.753
O2 0.691 0.441 0.750
O3 0.680 0.812 0.748
O4 0.067 0.434 0.754
O5 0.067 0.813 0.133
O6 0.680 0.432 0.367
O7 0.927 0.174 0.253
O8 0.309 0.559 0.250
O9 0.320 0.187 0.254
O10 0.936 0.568 0.248
O11 0.936 0.188 0.867
O12 0.320 0.566 0.633

(2)
Li4Ti2Ni3O10 | GGA+U | optimized geometry

Values from the calculation:
Magnetic moment (μB per formula unit): 4.0
SG: P-1 (2)

abc: 6.528 7.758 7.806
angles: 95.61 89.77 114.42
Element x y z (fractional)
Li1 0.191 0.605 0.401
Li2 0.888 0.196 0.302
Li3 0.752 0.510 0.248
Li4 0.248 0.490 0.752
Li5 0.112 0.804 0.698
Li6 0.809 0.395 0.599
Li7 0.682 0.600 0.913
Li8 0.318 0.400 0.087
Ti1 0.643 0.696 0.544
Ti2 0.357 0.304 0.456
Ti3 0.172 0.691 0.051
Ti4 0.828 0.309 0.949
Ni1 0.046 0.902 0.344
Ni2 0.954 0.098 0.656
Ni3 0.500 0.000 0.500
Ni4 0.000 0.000 0.000
Ni5 0.545 0.903 0.849
Ni6 0.455 0.097 0.151
O1 0.208 0.042 0.551
O2 0.083 0.326 0.539
O3 0.917 0.674 0.461
O4 0.605 0.241 0.383
O5 0.792 0.958 0.449
O6 0.461 0.531 0.347
O7 0.090 0.224 0.873
O8 0.306 0.848 0.274
O9 0.694 0.152 0.726
O10 0.971 0.543 0.846
O11 0.539 0.469 0.653
O12 0.825 0.861 0.761
O13 0.175 0.139 0.239
O14 0.395 0.759 0.617
O15 0.029 0.457 0.154
O16 0.742 0.068 0.061
O17 0.910 0.776 0.127
O18 0.587 0.346 0.034
O19 0.413 0.654 0.966
O20 0.258 0.932 0.939

(3)
Li3V3P8O29 | GGA+U | optimized geometry

Values from the calculation:
Magnetic moment (μB per formula unit): 0.0
SG: P1 (1)

abc: 9.740 9.768 14.343
angles: 90.03 90.24 119.74
Element x y z (fractional)
Li1 0.784 0.079 0.450
Li2 0.770 0.673 0.941
Li3 0.912 0.686 0.444
Li4 0.224 0.918 0.561
Li5 0.682 0.912 0.053
Li6 0.079 0.058 0.002
V1 0.997 0.430 0.754
V2 0.004 0.563 0.240
V3 0.429 0.432 0.254
V4 0.561 0.562 0.744
V5 0.435 0.006 0.757
V6 0.562 0.000 0.248
P1 0.303 0.086 0.164
P2 0.310 0.225 0.656
P3 0.770 0.089 0.663
P4 0.669 0.339 0.869
P5 0.671 0.336 0.365
P6 0.916 0.218 0.156
P7 0.084 0.313 0.340
P8 0.766 0.682 0.159
P9 0.227 0.308 0.838
P10 0.910 0.679 0.658
P11 0.082 0.777 0.839
P12 0.327 0.671 0.635
P13 0.339 0.667 0.133
P14 0.226 0.905 0.342
P15 0.686 0.774 0.339
P16 0.684 0.907 0.840
O1 0.237 0.977 0.434
O2 0.339 0.082 0.665
O3 0.215 0.217 0.923
O4 0.343 0.260 0.173
O5 0.461 0.081 0.174
O6 0.517 0.189 0.827
O7 0.618 0.098 0.685
O8 0.764 0.980 0.930
O9 0.739 0.082 0.164
O10 0.524 0.340 0.323
O11 0.473 0.379 0.677
O12 0.662 0.181 0.321
O13 0.673 0.342 0.973
O14 0.677 0.334 0.468
O15 0.812 0.330 0.824
O16 0.612 0.527 0.175
O17 0.674 0.489 0.827
O18 0.916 0.257 0.672
O19 0.998 0.202 0.250
O20 0.994 0.234 0.424
O21 0.990 0.194 0.073
O22 0.920 0.380 0.167
O23 0.820 0.479 0.320
O24 0.091 0.349 0.831
O25 0.902 0.521 0.678
O26 0.741 0.656 0.666
O27 0.204 0.205 0.746
O28 0.233 0.228 0.568
O29 0.778 0.770 0.421
O30 0.255 0.343 0.335
O31 0.093 0.474 0.317
O32 0.909 0.654 0.166
O33 0.180 0.530 0.682
O34 0.075 0.616 0.833
O35 0.994 0.798 0.917
O36 0.992 0.753 0.568
O37 0.010 0.799 0.741
O38 0.079 0.738 0.333
O39 0.332 0.520 0.179
O40 0.387 0.463 0.826
O41 0.190 0.672 0.174
O42 0.350 0.675 0.030
O43 0.326 0.670 0.531
O44 0.335 0.824 0.675
O45 0.526 0.620 0.325
O46 0.472 0.660 0.679
O47 0.257 0.914 0.835
O48 0.208 0.005 0.259
O49 0.206 0.007 0.081
O50 0.379 0.898 0.317
O51 0.493 0.816 0.175
O52 0.525 0.908 0.826
O53 0.655 0.735 0.834
O54 0.767 0.762 0.069
O55 0.786 0.798 0.244
O56 0.661 0.919 0.339
O57 0.761 0.011 0.573
O58 0.790 0.994 0.750

(4)
Sr3Cr2Cu2S2O5 | GGA+U | optimized geometry

Values from the calculation:
Magnetic moment (μB per formula unit): 0.0
SG: I4/mmm (139)

abc: 3.973 3.973 13.340
angles: 81.45 81.45 90.00
Element x y z (fractional)
Sr1 0.500 0.500 0.000
Sr2 0.359 0.359 0.283
Sr3 0.641 0.641 0.717
Cr1 0.073 0.073 0.854
Cr2 0.927 0.927 0.146
Cu1 0.250 0.750 0.500
Cu2 0.750 0.250 0.500
S1 0.803 0.803 0.393
S2 0.197 0.197 0.607
O1 0.000 0.000 0.000
O2 0.918 0.418 0.164
O3 0.418 0.918 0.164
O4 0.082 0.582 0.836
O5 0.582 0.082 0.836

(5)
MnC5O8 | GGA+U | optimized geometry

Values from the calculation:
Magnetic moment (μB per formula unit): 1.0
SG: Pbca (61)

abc: 8.922 11.704 16.917
angles: 90.00 90.00 90.00
Element x y z (fractional)
Mn1 0.044 0.624 0.801
Mn2 0.956 0.376 0.199
Mn3 0.456 0.124 0.199
Mn4 0.956 0.876 0.301
Mn5 0.544 0.876 0.801
Mn6 0.044 0.124 0.699
Mn7 0.544 0.376 0.699
Mn8 0.456 0.624 0.301
C1 0.317 0.623 0.558
C2 0.683 0.377 0.442
C3 0.183 0.123 0.442
C4 0.683 0.877 0.058
C5 0.817 0.877 0.558
C6 0.317 0.123 0.942
C7 0.817 0.377 0.942
C8 0.183 0.623 0.058
C9 0.323 0.626 0.002
C10 0.677 0.374 0.998
C11 0.177 0.126 0.998
C12 0.677 0.874 0.502
C13 0.823 0.874 0.002
C14 0.323 0.126 0.498
C15 0.823 0.374 0.498
C16 0.177 0.626 0.502
C17 0.039 0.620 0.556
C18 0.961 0.380 0.444
C19 0.461 0.120 0.444
C20 0.961 0.880 0.056
C21 0.539 0.880 0.556
C22 0.039 0.120 0.944
C23 0.539 0.380 0.944
C24 0.461 0.620 0.056
C25 0.254 0.627 0.642
C26 0.746 0.373 0.358
C27 0.246 0.127 0.358
C28 0.746 0.873 0.142
C29 0.754 0.873 0.642
C30 0.254 0.127 0.858
C31 0.754 0.373 0.858
C32 0.246 0.627 0.142
C33 0.093 0.621 0.636
C34 0.907 0.379 0.364
C35 0.407 0.121 0.364
C36 0.907 0.879 0.136
C37 0.593 0.879 0.636
C38 0.093 0.121 0.864
C39 0.593 0.379 0.864
C40 0.407 0.621 0.136
O1 0.129 0.739 0.819
O2 0.871 0.261 0.181
O3 0.371 0.239 0.181
O4 0.871 0.761 0.319
O5 0.629 0.761 0.819
O6 0.129 0.239 0.681
O7 0.629 0.261 0.681
O8 0.371 0.739 0.319
O9 0.318 0.634 0.932
O10 0.682 0.366 0.068
O11 0.182 0.134 0.068
O12 0.682 0.866 0.432
O13 0.818 0.866 0.932
O14 0.318 0.134 0.568
O15 0.818 0.366 0.568
O16 0.182 0.634 0.432
O17 0.446 0.620 0.537
O18 0.554 0.380 0.463
O19 0.054 0.120 0.463
O20 0.554 0.880 0.037
O21 0.946 0.880 0.537
O22 0.446 0.120 0.963
O23 0.946 0.380 0.963
O24 0.054 0.620 0.037
O25 0.145 0.016 0.679
O26 0.855 0.984 0.321
O27 0.355 0.516 0.321
O28 0.855 0.484 0.179
O29 0.645 0.484 0.679
O30 0.145 0.516 0.821
O31 0.645 0.984 0.821
O32 0.355 0.016 0.179
O33 0.392 0.881 0.849
O34 0.608 0.119 0.151
O35 0.108 0.381 0.151
O36 0.608 0.619 0.349
O37 0.892 0.619 0.849
O38 0.392 0.381 0.651
O39 0.892 0.119 0.651
O40 0.108 0.881 0.349
O41 0.410 0.883 0.529
O42 0.590 0.117 0.471
O43 0.090 0.383 0.471
O44 0.590 0.617 0.029
O45 0.910 0.617 0.529
O46 0.410 0.383 0.971
O47 0.910 0.117 0.971
O48 0.090 0.883 0.029
O49 0.499 0.881 0.695
O50 0.501 0.119 0.305
O51 0.001 0.381 0.305
O52 0.501 0.619 0.195
O53 0.999 0.619 0.695
O54 0.499 0.381 0.805
O55 0.999 0.119 0.805
O56 0.001 0.881 0.195
O57 0.334 0.634 0.701
O58 0.666 0.366 0.299
O59 0.166 0.134 0.299
O60 0.666 0.866 0.201
O61 0.834 0.866 0.701
O62 0.334 0.134 0.799
O63 0.834 0.366 0.799
O64 0.166 0.634 0.201

(6)
FeTe6O13 | GGA+U | optimized geometry

Values from the calculation:
SG: R-3 (148)

abc: 8.820 8.820 8.820
angles: 72.10 72.10 72.10
Element x y z (fractional)
Fe1 0.744 0.744 0.744
Fe2 0.256 0.256 0.256
Te1 0.667 0.057 0.989
Te2 0.469 0.177 0.578
Te3 0.177 0.578 0.469
Te4 0.943 0.011 0.333
Te5 0.422 0.531 0.823
Te6 0.531 0.823 0.422
Te7 0.823 0.422 0.531
Te8 0.057 0.989 0.667
Te9 0.333 0.943 0.011
Te10 0.011 0.333 0.943
Te11 0.989 0.667 0.057
Te12 0.578 0.469 0.177
O1 0.387 0.701 0.625
O2 0.912 0.912 0.912
O3 0.899 0.920 0.601
O4 0.375 0.613 0.299
O5 0.636 0.885 0.544
O6 0.201 0.697 0.944
O7 0.399 0.101 0.080
O8 0.088 0.088 0.088
O9 0.303 0.056 0.799
O10 0.456 0.364 0.115
O11 0.613 0.299 0.375
O12 0.364 0.115 0.456
O13 0.885 0.544 0.636
O14 0.944 0.201 0.697
O15 0.601 0.899 0.920
O16 0.920 0.601 0.899
O17 0.101 0.080 0.399
O18 0.697 0.944 0.201
O19 0.701 0.625 0.387
O20 0.056 0.799 0.303
O21 0.080 0.399 0.101
O22 0.544 0.636 0.885
O23 0.625 0.387 0.701
O24 0.299 0.375 0.613
O25 0.799 0.303 0.056
O26 0.115 0.456 0.364

(7)
Cr3B7BrO13 | GGA+U | optimized geometry

Values from the calculation:
Magnetic moment (μB per formula unit): 12.0
SG: F-43c (219)

abc: 8.694 8.694 8.694
angles: 60.00 60.00 60.00
Element x y z (fractional)
Cr1 0.500 0.500 0.000
Cr2 0.500 0.000 0.000
Cr3 0.000 0.000 0.500
Cr4 0.000 0.500 0.000
Cr5 0.500 0.000 0.500
Cr6 0.000 0.500 0.500
B1 0.920 0.920 0.920
B2 0.420 0.740 0.420
B3 0.920 0.920 0.240
B4 0.240 0.920 0.920
B5 0.420 0.420 0.420
B6 0.740 0.420 0.420
B7 0.420 0.420 0.740
B8 0.920 0.240 0.920
B9 0.250 0.250 0.750
B10 0.250 0.750 0.750
B11 0.750 0.250 0.250
B12 0.250 0.750 0.250
B13 0.750 0.250 0.750
B14 0.750 0.750 0.250
Br1 0.750 0.750 0.750
Br2 0.250 0.250 0.250
O1 0.296 0.745 0.895
O2 0.895 0.064 0.296
O3 0.796 0.245 0.564
O4 0.245 0.395 0.564
O5 0.245 0.564 0.796
O6 0.245 0.796 0.395
O7 0.395 0.796 0.564
O8 0.564 0.796 0.245
O9 0.000 0.000 0.000
O10 0.500 0.500 0.500
O11 0.745 0.296 0.064
O12 0.395 0.245 0.796
O13 0.796 0.564 0.395
O14 0.395 0.564 0.245
O15 0.564 0.395 0.796
O16 0.564 0.245 0.395
O17 0.796 0.395 0.245
O18 0.064 0.296 0.895
O19 0.895 0.296 0.745
O20 0.296 0.895 0.064
O21 0.895 0.745 0.064
O22 0.296 0.064 0.745
O23 0.064 0.745 0.296
O24 0.745 0.895 0.296
O25 0.745 0.064 0.895
O26 0.064 0.895 0.745

(8)
Na2Te3Mo3O16 | GGA+U | optimized geometry

Values from the calculation:
Magnetic moment (μB per formula unit): 0.0
SG: C2 (5)

abc: 7.796 7.796 7.491
angles: 65.41 65.41 95.40
Element x y z (fractional)
Na1 0.933 0.067 0.500
Na2 0.517 0.483 0.000
Te1 0.013 0.987 0.000
Te2 0.950 0.608 0.501
Te3 0.392 0.050 0.499
Mo1 0.032 0.514 0.974
Mo2 0.486 0.968 0.026
Mo3 0.419 0.581 0.500
O1 0.591 0.845 0.236
O2 0.558 0.831 0.887
O3 0.155 0.409 0.764
O4 0.169 0.442 0.113
O5 0.691 0.187 0.835
O6 0.296 0.761 0.661
O7 0.567 0.540 0.630
O8 0.239 0.704 0.339
O9 0.289 0.039 0.929
O10 0.813 0.309 0.165
O11 0.961 0.711 0.071
O12 0.934 0.869 0.339
O13 0.131 0.066 0.661
O14 0.460 0.433 0.370
O15 0.893 0.634 0.757
O16 0.366 0.107 0.243

Number 1: E -6.521 eV per atom, ΔE_f -2151 meV/atom. Number 2: E -6.206 eV per atom, ΔE_f -2219 meV/atom. Number 3: E -7.052 eV per atom, ΔE_f -2522 meV/atom. Number 4: E -6.235 eV per atom, ΔE_f -2153 meV/atom. Number 5: E -7.053 eV per atom, ΔE_f -787 meV/atom. Number 6: E -5.532 eV per atom, ΔE_f -1509 meV/atom. Number 7: E -7.876 eV per atom, ΔE_f -2595 meV/atom. Number 8: E -6.134 eV per atom, ΔE_f -1835 meV/atom.